Record 1
Material: Ba2Ge2Se5
Method: DFT, PBE-GGA
State: relaxed

Output
Total energy = -0.3322 Ry per atom
Energy relative to the elements = -31.975 kcal/mol of atoms
Crystal system = orthorhombic

a = 12.8499 Å, b = 9.2491 Å, c = 9.4040 Å
α = 90.00°, β = 90.00°, γ = 90.00°
With the nearest neighbours (Å) after each atom.
Space group Pnma (No. 62)
Asymmetric unit:
Ba1 0.1782 0.0040 0.1235 [8 per cell]  8 Se 3.40-3.61
Ge1 0.0362 0.7500 0.4743 [4 per cell]  3 Se 2.48-2.69
Ge2 0.0962 0.7500 0.8166 [4 per cell]  4 Se 2.36-2.40
Se1 0.0063 0.2500 0.9755 [4 per cell]  1 Ge 2.36
Se2 0.0582 0.5429 0.6725 [8 per cell]  1 Ge 2.40
Se3 0.2172 0.7500 0.3822 [4 per cell]  1 Ge 2.48
Se4 0.2246 0.2500 0.3843 [4 per cell]  1 Ge 2.39

Record 2
Material: MgTi2O5
Method: DFT, PBE-GGA
State: relaxed

Output
Polymorph energy (0 for the lowest one) = 0.57 eV per formula unit
Total energy = -0.6021 Ry per atom
Energy relative to the elements = -77.374 kcal/mol of atoms
Crystal system = orthorhombic

a = 3.7275 Å, b = 10.1518 Å, c = 11.4781 Å
α = 90.00°, β = 90.00°, γ = 90.00°
With the nearest neighbours (Å) after each atom.
Space group Cmcm (No. 63)
Asymmetric unit:
Mg1 0.0000 0.1008 0.2500 [4 per cell]  4 O 1.99-2.11
Ti1 0.0000 0.2040 0.5987 [8 per cell]  1 O 1.69
O1 0.0000 0.0415 0.6302 [8 per cell]  1 Ti 1.69
O2 0.0000 0.2381 0.0767 [8 per cell]  3 Ti 1.97-2.04
O3 0.0000 0.3010 0.7500 [4 per cell]  2 Ti 2.00, 2 Mg 2.11

Record 3
Material: CoCu2SiS4
Method: DFT, PBE-GGA
State: relaxed

Output
Total energy = -0.3715 Ry per atom
Energy relative to the elements = -14.906 kcal/mol of atoms
Crystal system = tetragonal

a = 5.2016 Å, b = 5.2016 Å, c = 10.4739 Å
α = 90.00°, β = 90.00°, γ = 90.00°
With the nearest neighbours (Å) after each atom.
Space group I-42m (No. 121)
Asymmetric unit:
Co1 0.0000 0.0000 0.0000 [2 per cell]  4 S 2.28
Cu1 0.0000 0.5000 0.2500 [4 per cell]  4 S 2.29
Si1 0.0000 0.0000 0.5000 [2 per cell]  4 S 2.17
S1 0.2410 0.2410 0.6202 [8 per cell]  1 Si 2.17, 1 Co 2.28, 2 Cu 2.29

Record 4
Material: Dy2In3Sn3
Method: DFT, PBE-GGA
State: relaxed

Output
Total energy = -0.3013 Ry per atom
Energy relative to the elements = -9.505 kcal/mol of atoms
Crystal system = orthorhombic

a = 4.6738 Å, b = 4.6853 Å, c = 9.3371 Å
α = 90.00°, β = 90.00°, γ = 90.00°
With the nearest neighbours (Å) after each atom.
Space group Pmmm (No. 47)
Asymmetric unit:
Dy1 0.0000 0.0000 0.2484 [2 per cell]  6 Sn 3.29-3.31, 6 In 3.31-3.32
In1 0.0000 0.5000 0.5000 [1 per cell]  4 In 3.30, 4 Sn 3.31, 4 Dy 3.32
In2 0.5000 0.5000 0.2508 [2 per cell]  2 In 3.30, 6 Sn 3.30-3.31, 4 Dy 3.31
Sn1 0.0000 0.5000 0.0000 [1 per cell]  4 Dy 3.30, 4 In 3.31, 4 Sn 3.31
Sn2 0.5000 0.0000 0.0000 [1 per cell]  4 Dy 3.29, 4 Sn 3.31, 4 In 3.31
Sn3 0.5000 0.0000 0.5000 [1 per cell]  8 In 3.30-3.31, 4 Dy 3.31

Record 5
Material: MgAlO3
Method: DFT, PBE-GGA
State: relaxed

Output
Total energy = -0.4534 Ry per atom
Energy relative to the elements = -58.651 kcal/mol of atoms
Crystal system = cubic

a = 3.6743 Å, b = 3.6743 Å, c = 3.6743 Å
α = 90.00°, β = 90.00°, γ = 90.00°
With the nearest neighbours (Å) after each atom.
Space group Pm-3m (No. 221)
Asymmetric unit:
Mg1 0.0000 0.0000 0.0000 [1 per cell]  12 O 2.60
Al1 0.5000 0.5000 0.5000 [1 per cell]  6 O 1.84
O1 0.0000 0.5000 0.5000 [3 per cell]  2 Al 1.84

Record 6
Material: Ba10Sm5Cu15O33
Method: DFT, PBE-GGA
State: relaxed

Output
Total energy = -0.4464 Ry per atom
Energy relative to the elements = -50.427 kcal/mol of atoms
Crystal system = triclinic

a = 5.5532 Å, b = 13.1730 Å, c = 14.0995 Å
α = 114.41°, β = 100.19°, γ = 90.50°
With the nearest neighbours (Å) after each atom.
Space group P-1 (No. 2)
Asymmetric unit:
Ba1 0.0364 0.1820 0.0728 [2 per cell]  10 O 2.79-3.05
Ba2 0.1568 0.8101 0.3267 [2 per cell]  9 O 2.74-2.98
Ba3 0.2328 0.1896 0.4785 [2 per cell]  9 O 2.74-2.98
Ba4 0.3549 0.8110 0.7279 [2 per cell]  9 O 2.75-3.00
Ba5 0.4304 0.1891 0.8791 [2 per cell]  9 O 2.75-3.00
Sm1 0.0996 0.4985 0.1993 [2 per cell]  8 O 2.45-2.49
Sm2 0.3003 0.5002 0.6000 [2 per cell]  8 O 2.45-2.48
Sm3 0.5000 0.5000 0.0000 [1 per cell]  8 O 2.45-2.48
Cu1 0.0307 0.6445 0.0581 [2 per cell]  4 O 1.96-1.99
Cu2 0.0785 0.0000 0.1939 [2 per cell]  3 O 1.83-1.91
Cu3 0.1729 0.3556 0.3424 [2 per cell]  4 O 1.95-1.99
Cu4 0.2303 0.6438 0.4581 [2 per cell]  4 O 1.95-2.00
Cu5 0.2873 0.0000 0.5955 [2 per cell]  3 O 1.83-1.90
Cu6 0.3729 0.3561 0.7431 [2 per cell]  4 O 1.96-2.01
Cu7 0.4294 0.6464 0.8585 [2 per cell]  4 O 1.96-2.01
Cu8 0.5000 0.0000 0.0000 [1 per cell]  4 O 1.89-1.93
O1 0.0000 0.0000 0.5000 [1 per cell]  2 Cu 1.90
O2 0.0244 0.6243 0.5496 [2 per cell]  2 Cu 1.96
O3 0.0743 0.3726 0.6490 [2 per cell]  2 Cu 2.00-2.01
O4 0.0912 0.8484 0.1462 [2 per cell]  1 Cu 1.83
O5 0.1239 0.6262 0.7498 [2 per cell]  2 Cu 1.99-2.01
O6 0.1517 0.1517 0.2674 [2 per cell]  1 Cu 1.83
O7 0.1746 0.3756 0.8503 [2 per cell]  2 Cu 1.96
O8 0.2115 0.0000 0.9014 [2 per cell]  2 Cu 1.91-1.93
O9 0.2250 0.6238 0.9496 [2 per cell]  2 Cu 1.96
O10 0.2728 0.3734 0.0487 [2 per cell]  2 Cu 1.99-2.01
O11 0.2930 0.8482 0.5465 [2 per cell]  1 Cu 1.83
O12 0.3244 0.6247 0.1500 [2 per cell]  2 Cu 1.99
O13 0.3536 0.1518 0.6679 [2 per cell]  1 Cu 1.83
O14 0.3755 0.3763 0.2505 [2 per cell]  2 Cu 1.95-1.96
O15 0.4246 0.6243 0.3499 [2 per cell]  2 Cu 1.95-1.96
O16 0.4683 0.8417 0.9366 [2 per cell]  1 Cu 1.89
O17 0.4753 0.3750 0.4501 [2 per cell]  2 Cu 1.98-1.99

Record 7
Material: Tb2Ge2O7
Method: DFT, PBE-GGA
State: relaxed

Output
Largest piezoelectric modulus = 0.06 C/m2
Total energy = -0.5475 Ry per atom
Energy relative to the elements = -70.448 kcal/mol of atoms
Crystal system = tetragonal

a = 6.8993 Å, b = 6.8993 Å, c = 12.5723 Å
α = 90.00°, β = 90.00°, γ = 90.00°
With the nearest neighbours (Å) after each atom.
Space group P4_12_12 (No. 92)
Asymmetric unit:
Tb1 0.1240 0.3516 0.1154 [8 per cell]  6 O 2.25-2.43
Ge1 0.0985 0.1531 0.6301 [8 per cell]  4 O 1.76-1.81
O1 0.0299 0.0782 0.8740 [8 per cell]  1 Ge 1.76
O2 0.0639 0.6616 0.1786 [8 per cell]  1 Ge 1.81
O3 0.1430 0.3142 0.2954 [8 per cell]  1 Ge 1.76
O4 0.1965 0.1965 0.5000 [4 per cell]  2 Ge 1.80

Record 8
Material: Y2Al3Si2
Method: DFT, PBE-GGA
State: relaxed

Output
Total energy = -0.4085 Ry per atom
Energy relative to the elements = -12.325 kcal/mol of atoms
Crystal system = monoclinic

a = 10.2216 Å, b = 4.0393 Å, c = 6.6401 Å
α = 90.00°, β = 101.08°, γ = 90.00°
With the nearest neighbours (Å) after each atom.
Space group C2/m (No. 12)
Asymmetric unit:
Y1 0.1201 0.0000 0.3224 [4 per cell]  5 Si 2.90-3.01, 5 Al 3.03-3.22
Al1 0.0000 0.5000 0.0000 [2 per cell]  2 Si 2.73, 4 Y 3.03
Al2 0.1944 0.0000 0.8666 [4 per cell]  2 Si 2.61, 2 Al 2.78
Si1 0.0927 0.5000 0.6406 [4 per cell]  1 Si 2.39, 2 Al 2.61

Record 9
Material: K2Al2Si3O12
Method: DFT, PBE-GGA
State: relaxed

Output
Polymorph energy (0 for the lowest one) = 0.00 eV per formula unit
Total energy = -0.4923 Ry per atom
Energy relative to the elements = -60.863 kcal/mol of atoms
Crystal system = triclinic

a = 6.7574 Å, b = 10.0594 Å, c = 10.1788 Å
α = 83.57°, β = 70.66°, γ = 70.46°
With the nearest neighbours (Å) after each atom.
Space group P1 (No. 1)
Asymmetric unit:
K1 0.0000 0.0000 0.0000 [1 per cell]  4 O 2.70-2.75
K2 0.2067 0.5021 0.5711 [1 per cell]  5 O 2.71-3.02
K3 0.4918 0.9364 0.0729 [1 per cell]  4 O 2.71-2.76
K4 0.7754 0.4359 0.5026 [1 per cell]  4 O 2.72-2.74
Al1 0.0314 0.0543 0.3600 [1 per cell]  4 O 1.75-1.77
Al2 0.6036 0.5546 0.2159 [1 per cell]  4 O 1.75-1.77
Al3 0.8656 0.3837 0.8602 [1 per cell]  4 O 1.75-1.77
Al4 0.9390 0.8833 0.7154 [1 per cell]  4 O 1.75-1.77
Si1 0.0211 0.2886 0.1279 [1 per cell]  4 O 1.63-1.65
Si2 0.0913 0.1495 0.6278 [1 per cell]  4 O 1.63-1.65
Si3 0.3448 0.4686 0.0380 [1 per cell]  4 O 1.63-1.64
Si4 0.3607 0.7893 0.4475 [1 per cell]  4 O 1.63-1.65
Si5 0.5935 0.9702 0.5386 [1 per cell]  4 O 1.63-1.64
Si6 0.9309 0.6488 0.9476 [1 per cell]  4 O 1.63-1.65
O1 0.0379 0.1622 0.4814 [1 per cell]  1 Si 1.63, 1 Al 1.75
O2 0.0503 0.6215 0.3240 [1 per cell]  1 O 2.32
O3 0.0812 0.1286 0.1917 [1 per cell]  1 Si 1.64, 1 Al 1.76
O4 0.1709 0.5959 0.9776 [1 per cell]  2 Si 1.64-1.65
O5 0.1717 0.7757 0.5931 [1 per cell]  1 Si 1.63, 1 Al 1.75
O6 0.2384 0.3413 0.0995 [1 per cell]  2 Si 1.64-1.65
O7 0.2528 0.8946 0.3376 [1 per cell]  1 Si 1.63, 1 Al 1.77
O8 0.3603 0.0976 0.6006 [1 per cell]  2 Si 1.64-1.65
O9 0.3955 0.5271 0.1632 [1 per cell]  1 Si 1.64, 1 Al 1.77
O10 0.4585 0.8077 0.8258 [1 per cell]  1 O 2.34
O11 0.4872 0.6292 0.3840 [1 per cell]  1 Si 1.64, 1 Al 1.76
O12 0.4928 0.3008 0.7447 [1 per cell]  1 O 2.45
O13 0.5460 0.8440 0.4773 [1 per cell]  2 Si 1.64-1.65
O14 0.5784 0.4103 0.9130 [1 per cell]  1 Si 1.63, 1 Al 1.77
O15 0.5842 0.1346 0.2483 [1 per cell]  1 O 2.38
O16 0.7034 0.9106 0.6635 [1 per cell]  1 Si 1.64, 1 Al 1.77
O17 0.7279 0.6624 0.0922 [1 per cell]  1 Si 1.63, 1 Al 1.75
O18 0.7694 0.0286 0.4139 [1 per cell]  1 Si 1.63, 1 Al 1.77
O19 0.8037 0.3948 0.2369 [1 per cell]  1 Si 1.63, 1 Al 1.77
O20 0.8969 0.8089 0.8836 [1 per cell]  1 Si 1.64, 1 Al 1.76
O21 0.9301 0.5427 0.8376 [1 per cell]  1 Si 1.63, 1 Al 1.77
O22 0.9804 0.0427 0.7369 [1 per cell]  1 Si 1.63, 1 Al 1.77
O23 0.9796 0.2754 0.9814 [1 per cell]  1 Si 1.63, 1 Al 1.75
O24 0.9900 0.3096 0.6918 [1 per cell]  1 Si 1.64, 1 Al 1.76

Record 10
Material: La3Zn
Method: DFT, PBE-GGA
State: relaxed

Output
Total energy = -0.2997 Ry per atom
Energy relative to the elements = -1.396 kcal/mol of atoms
Crystal system = cubic

a = 4.9637 Å, b = 4.9637 Å, c = 4.9637 Å
α = 90.00°, β = 90.00°, γ = 90.00°
With the nearest neighbours (Å) after each atom.
Space group Pm-3m (No. 221)
Asymmetric unit:
La1 0.0000 0.0000 0.5000 [3 per cell]  8 La 3.51, 4 Zn 3.51
Zn1 0.5000 0.5000 0.5000 [1 per cell]  12 La 3.51

Record 11
Material: SiB6
Method: DFT, PBE-GGA
State: relaxed

Output
Total energy = -0.4442 Ry per atom
Energy relative to the elements = 10.514 kcal/mol of atoms
Crystal system = cubic

a = 4.1335 Å, b = 4.1335 Å, c = 4.1335 Å
α = 90.00°, β = 90.00°, γ = 90.00°
With the nearest neighbours (Å) after each atom.
Space group Pm-3m (No. 221)
Asymmetric unit:
Si1 0.0000 0.0000 0.0000 [1 per cell]  24 B 3.04
B1 0.2000 0.5000 0.5000 [6 per cell]  5 B 1.65-1.75

Record 12
Material: Rb2TaAgCl6
Method: DFT, PBE-GGA
State: relaxed

Output
Total energy = -0.2970 Ry per atom
Energy relative to the elements = -37.690 kcal/mol of atoms
Crystal system = cubic

a = 10.4561 Å, b = 10.4561 Å, c = 10.4561 Å
α = 90.00°, β = 90.00°, γ = 90.00°
With the nearest neighbours (Å) after each atom.
Space group Fm-3m (No. 225)
Asymmetric unit:
Rb1 0.2500 0.2500 0.2500 [8 per cell]  12 Cl 3.70
Ta1 0.0000 0.0000 0.0000 [4 per cell]  6 Cl 2.49
Ag1 0.0000 0.0000 0.5000 [4 per cell]  6 Cl 2.74
Cl1 0.0000 0.0000 0.2378 [24 per cell]  1 Ta 2.49, 1 Ag 2.74

Which value of total energy does entry 1 give?
-0.3322 Ry per atom